# Dy2As7Rh12 r²SCAN relaxed
# energy of formation from the pure elements	-764	meV/atom
data_Dy2As7Rh12
_chemical_formula_sum 'Dy2 As7 Rh12'
_cell_length_a 9.8872
_cell_length_b 9.8872
_cell_length_c 3.9024
_cell_angle_alpha 90.00
_cell_angle_beta 90.00
_cell_angle_gamma 120.00
_space_group_name_H-M_alt 'P 3'
_space_group_IT_number 143
loop_
_space_group_symop_operation_xyz
'x,y,z'
'-y,x-y,z'
'-x+y,-x,z'
loop_
_atom_site_label
_atom_site_type_symbol
_atom_site_fract_x
_atom_site_fract_y
_atom_site_fract_z
Dy1 Dy 0.0000 0.0000 0.0000
Dy2 Dy 0.3333 0.6667 0.4937
As1 As 0.0725 0.6204 0.9978
As2 As 0.2614 0.0462 0.4969
As3 As 0.6667 0.3333 0.7615
Rh1 Rh 0.0486 0.7820 0.4981
Rh2 Rh 0.1149 0.3999 0.9963
Rh3 Rh 0.4019 0.2191 0.0017
Rh4 Rh 0.5178 0.0704 0.4931

# Co6Te3Cl2O12 r²SCAN relaxed
# energy of formation from the pure elements	-1173	meV/atom
data_Co6Te3Cl2O12
_chemical_formula_sum 'Co24 Te12 Cl8 O48'
_cell_length_a 8.372
_cell_length_b 8.372
_cell_length_c 18.484
_cell_angle_alpha 90.00
_cell_angle_beta 90.00
_cell_angle_gamma 90.00
_space_group_name_H-M_alt 'P 42/m b c'
_space_group_IT_number 135
_space_group_name_Hall '-P 4c 2ab'
loop_
_atom_site_label
_atom_site_type_symbol
_atom_site_fract_x
_atom_site_fract_y
_atom_site_fract_z
Co1 Co 0.000 0.500 0.083
Co2 Co 0.182 0.198 0.168
Te1 Te 0.000 0.500 0.250
Te2 Te 0.180 0.188 0.500
Cl1 Cl 0.000 0.000 0.145
O1 O 0.097 0.644 0.500
O2 O 0.101 0.616 0.172
O3 O 0.160 0.310 0.075
O4 O 0.165 0.335 0.250

# Ho3Co2Ge4 r²SCAN relaxed
# energy of formation from the pure elements	-725	meV/atom
data_Ho3Co2Ge4
_chemical_formula_sum 'Ho6 Co4 Ge8'
_cell_length_a 10.583
_cell_length_b 4.099
_cell_length_c 7.932
_cell_angle_alpha 90.00
_cell_angle_beta 107.58
_cell_angle_gamma 90.00
_space_group_name_H-M_alt 'C 1 2/m 1'
_space_group_IT_number 12
loop_
_space_group_symop_operation_xyz
'x,y,z'
'-x,-y,-z'
'-x,y,-z'
'x,-y,z'
'x+1/2,y+1/2,z'
'-x+1/2,-y+1/2,-z'
'-x+1/2,y+1/2,-z'
'x+1/2,-y+1/2,z'
loop_
_atom_site_label
_atom_site_type_symbol
_atom_site_fract_x
_atom_site_fract_y
_atom_site_fract_z
Ho1 Ho 0.000 0.000 0.000
Ho2 Ho 0.124 0.500 0.692
Co1 Co 0.194 0.500 0.374
Ge1 Ge 0.098 0.000 0.399
Ge2 Ge 0.208 0.500 0.081

# EuSnPt r²SCAN relaxed
# energy of formation from the pure elements	-1024	meV/atom
data_EuSnPt
_chemical_formula_sum 'Eu4 Sn4 Pt4'
_cell_length_a 7.542
_cell_length_b 4.687
_cell_length_c 7.971
_cell_angle_alpha 90.00
_cell_angle_beta 90.00
_cell_angle_gamma 90.00
_space_group_name_H-M_alt 'P n m a'
_space_group_IT_number 62
loop_
_space_group_symop_operation_xyz
'x,y,z'
'-x,-y,-z'
'-x+1/2,-y,z+1/2'
'x+1/2,y,-z+1/2'
'x+1/2,-y+1/2,-z+1/2'
'-x+1/2,y+1/2,z+1/2'
'-x,y+1/2,-z'
'x,-y+1/2,z'
loop_
_atom_site_label
_atom_site_type_symbol
_atom_site_fract_x
_atom_site_fract_y
_atom_site_fract_z
Eu1 Eu 0.021 0.250 0.186
Sn1 Sn 0.166 0.250 0.577
Pt1 Pt 0.206 0.750 0.398

# LiTiAsO5 r²SCAN relaxed
# energy of formation from the pure elements	-2340	meV/atom
data_LiTiAsO5
_chemical_formula_sum 'Li4 Ti4 As4 O20'
_cell_length_a 7.480
_cell_length_b 6.605
_cell_length_c 7.463
_cell_angle_alpha 90.00
_cell_angle_beta 90.00
_cell_angle_gamma 90.00
_space_group_name_H-M_alt 'P n m a'
_space_group_IT_number 62
loop_
_space_group_symop_operation_xyz
'x,y,z'
'-x,-y,-z'
'-x+1/2,-y,z+1/2'
'x+1/2,y,-z+1/2'
'x+1/2,-y+1/2,-z+1/2'
'-x+1/2,y+1/2,z+1/2'
'-x,y+1/2,-z'
'x,-y+1/2,z'
loop_
_atom_site_label
_atom_site_type_symbol
_atom_site_fract_x
_atom_site_fract_y
_atom_site_fract_z
Li1 Li 0.000 0.000 0.000
Ti1 Ti 0.162 0.250 0.274
As1 As 0.127 0.750 0.368
O1 O 0.064 0.250 0.511
O2 O 0.114 0.750 0.833
O3 O 0.126 0.546 0.233
O4 O 0.187 0.250 0.998

# SmAlCu r²SCAN relaxed
# energy of formation from the pure elements	-444	meV/atom
data_SmAlCu
_chemical_formula_sum 'Sm3 Al3 Cu3'
_cell_length_a 7.1314
_cell_length_b 7.1314
_cell_length_c 4.0487
_cell_angle_alpha 90.00
_cell_angle_beta 90.00
_cell_angle_gamma 120.00
_space_group_name_H-M_alt 'P -6 2 m'
_space_group_IT_number 189
_space_group_name_Hall 'P -6 -2'
loop_
_atom_site_label
_atom_site_type_symbol
_atom_site_fract_x
_atom_site_fract_y
_atom_site_fract_z
Sm1 Sm 0.0000 0.5832 0.0000
Al1 Al 0.0000 0.2289 0.5000
Cu1 Cu 0.0000 0.0000 0.0000
Cu2 Cu 0.3333 0.6667 0.5000